[1]
Computed, not measured: an optimized crystal structure of Zr25Sc6O59 at the GGA-PBE level of DFT.

Calculated values
Crystal system: triclinic

Cell: 13.0828 13.0784 13.0860 Å, 99.88 99.92 100.04°
With the nearest neighbours (Å) after each atom.
Fractional positions:
O: 0.4957 0.9002 0.9981  3 Zr 2.14-2.29, 1 Sc 2.22
O: 0.1990 0.4582 0.7385  4 Zr 2.17-2.26
O: 0.9852 0.3998 0.4898  2 Zr 2.09-2.14, 2 Sc 2.21-2.22
O: 0.8316 0.6547 0.6678  1 Zr 2.06, 2 Sc 2.11-2.25
O: 0.8453 0.7940 0.4663  2 Zr 2.13-2.17, 2 Sc 2.14-2.18
O: 0.5462 0.3595 0.2035  3 Zr 2.10-2.20
O: 0.1798 0.3104 0.9322  3 Zr 2.09-2.17
O: 0.2614 0.8020 0.5430  4 Zr 2.20-2.24
O: 0.4029 0.5357 0.1847  4 Zr 2.18-2.24
O: 0.7386 0.3215 0.2127  1 Sc 2.10, 2 Zr 2.11-2.14
O: 0.7942 0.4810 0.0519  3 Zr 2.14-2.35, 1 Sc 2.32
O: 0.7084 0.9346 0.0890  3 Zr 2.07-2.19
O: 0.5878 0.4129 0.6116  4 Zr 2.13-2.34
O: 0.4627 0.8146 0.5957  4 Zr 2.17-2.28
O: 0.2617 0.6792 0.7873  3 Zr 2.14-2.16
O: 0.1255 0.1334 0.3274  2 Zr 2.10-2.16
O: 0.1674 0.3426 0.3306  3 Zr 2.09-2.31
O: 0.8742 0.8657 0.6739  2 Zr 2.09-2.34, 1 Sc 2.14
O: 0.5965 0.4649 0.8158  4 Zr 2.12-2.32
O: 0.9987 0.4952 0.9018  3 Zr 2.16-2.24, 1 Sc 2.26
O: 0.5636 0.2156 0.6095  3 Zr 2.13-2.25
O: 0.2035 0.5164 0.9453  4 Zr 2.17-2.36
O: 0.4518 0.6420 0.7941  3 Zr 2.13-2.17
O: 0.5313 0.1543 0.2061  4 Zr 2.12-2.27
O: 0.2814 0.8774 0.9631  3 Zr 2.15-2.37, 1 Sc 2.18
O: 0.3091 0.9330 0.1788  2 Zr 2.08-2.12, 1 Sc 2.13
O: 0.9611 0.3710 0.2826  1 Zr 2.03, 2 Sc 2.17-2.25
O: 0.8755 0.8776 0.8770  2 Zr 2.05-2.20, 2 Sc 2.24-2.26
O: 0.4344 0.7847 0.3890  3 Zr 2.15-2.20
O: 0.3890 0.4112 0.5867  4 Zr 2.17-2.28
O: 0.1065 0.1025 0.9236  3 Zr 2.17-2.19, 1 Sc 2.26
O: 0.8996 0.9985 0.4954  2 Zr 2.15-2.19, 2 Sc 2.17-2.20
O: 0.2061 0.5329 0.1530  4 Zr 2.11-2.27
O: 0.4135 0.6112 0.5889  4 Zr 2.17-2.28
O: 0.2530 0.7263 0.1283  1 Sc 2.17, 3 Zr 2.20-2.30
O: 0.2145 0.7406 0.3228  3 Zr 2.12-2.18
O: 0.7258 0.1283 0.2531  2 Zr 2.14-2.23, 2 Sc 2.19-2.29
O: 0.6700 0.8780 0.8672  3 Zr 2.11-2.31
O: 0.3573 0.2047 0.5471  3 Zr 2.12-2.18
O: 0.4113 0.5866 0.3887  4 Zr 2.17-2.27
O: 0.7165 0.0373 0.6262  2 Zr 2.10-2.11, 1 Sc 2.30
O: 0.1285 0.0395 0.7176  3 Zr 2.16-2.25
O: 0.4570 0.7378 0.1983  3 Zr 2.18-2.20, 1 Sc 2.23
O: 0.2807 0.9592 0.3741  3 Zr 2.10-2.31
O: 0.4676 0.8464 0.7930  4 Zr 2.17-2.23
O: 0.0163 0.5848 0.3050  2 Zr 2.12-2.28, 2 Sc 2.14-2.26
O: 0.1351 0.3295 0.1235  4 Zr 2.18-2.43
O: 0.3226 0.2137 0.7394  3 Zr 2.11-2.18
O: 0.5994 0.5100 0.0145  4 Zr 2.10-2.33
O: 0.5853 0.3890 0.4111  4 Zr 2.19-2.29
O: 0.4906 0.9872 0.4013  4 Zr 2.16-2.25
O: 0.5849 0.3054 0.0141  4 Zr 2.19-2.36
O: 0.8154 0.5970 0.4632  2 Zr 2.08-2.15, 2 Sc 2.20-2.22
O: 0.9355 0.0880 0.7084  1 Zr 2.05, 2 Sc 2.06-2.14
O: 0.6110 0.5894 0.4143  4 Zr 2.11-2.30
O: 0.1000 0.0029 0.5056  3 Zr 2.17-2.18, 1 Sc 2.29
O: 0.2161 0.6107 0.5652  4 Zr 2.18-2.41
O: 0.5367 0.1852 0.4034  4 Zr 2.13-2.26
O: 0.2056 0.5480 0.3579  3 Zr 2.11-2.21
O: 0.6933 0.9859 0.4139  3 Zr 2.15-2.41, 1 Sc 2.17
O: 0.1538 0.2074 0.5321  4 Zr 2.16-2.27
O: 0.0141 0.5997 0.5102  2 Sc 2.14-2.22, 2 Zr 2.15-2.16
O: 0.9872 0.4134 0.6934  2 Zr 2.11-2.18, 1 Sc 2.17
O: 0.5418 0.2613 0.8018  4 Zr 2.16-2.36
O: 0.6559 0.6709 0.8323  3 Zr 2.12-2.27
O: 0.0432 0.6262 0.7230  1 Sc 2.09, 2 Zr 2.11-2.20
O: 0.9657 0.2830 0.8774  3 Zr 2.14-2.33, 1 Sc 2.34
O: 0.0791 0.8960 0.8963  2 Zr 2.15-2.16, 2 Sc 2.16-2.27
O: 0.4154 0.6935 0.9854  3 Zr 2.16-2.35, 1 Sc 2.17
O: 0.6760 0.7865 0.2590  3 Zr 2.11-2.22
O: 0.0662 0.8204 0.6887  2 Zr 2.09, 1 Sc 2.11
O: 0.7166 0.1223 0.0344  3 Zr 2.14-2.37, 1 Sc 2.37
O: 0.1230 0.1245 0.1237  3 Zr 2.07-2.28
O: 0.9217 0.1048 0.1013  3 Zr 2.17-2.20, 1 Sc 2.21
O: 0.7463 0.2748 0.8741  3 Zr 2.16-2.30, 1 Sc 2.36
O: 0.3824 0.3829 0.3829  3 Zr 2.16-2.18
O: 0.8704 0.7474 0.2725  2 Sc 2.16-2.18, 2 Zr 2.20-2.21
O: 0.0399 0.7185 0.1269  2 Zr 2.13-2.24, 1 Sc 2.18
O: 0.4000 0.4902 0.9865  4 Zr 2.14-2.27
O: 0.2930 0.0654 0.9105  3 Zr 2.09-2.19
O: 0.3280 0.1232 0.1331  3 Zr 2.12-2.33
O: 0.0012 0.5040 0.0997  3 Zr 2.15-2.23, 1 Sc 2.23
O: 0.1855 0.4050 0.5375  4 Zr 2.13-2.31
O: 0.5046 0.0997 0.0023  4 Zr 2.19-2.26
O: 0.8947 0.8984 0.0764  1 Sc 2.15, 3 Zr 2.19-2.22
O: 0.1005 0.9234 0.1051  3 Zr 2.13-2.28, 1 Sc 2.24
O: 0.0562 0.7979 0.4827  2 Zr 2.13-2.18, 2 Sc 2.16-2.38
O: 0.8026 0.5434 0.2617  2 Zr 2.13-2.16, 2 Sc 2.19
O: 0.3891 0.4347 0.7848  3 Zr 2.16-2.23
O: 0.3062 0.0139 0.5856  4 Zr 2.18-2.38
O: 0.9346 0.1747 0.3081  1 Zr 2.04, 2 Sc 2.11
O: 0.1281 0.2535 0.7274  4 Zr 2.22-2.28
O: 0.8625 0.6723 0.8756  2 Sc 2.13-2.16, 2 Zr 2.22-2.34
O: 0.6102 0.5652 0.2168  4 Zr 2.15-2.38
O: 0.4833 0.0549 0.7969  4 Zr 2.18-2.41
O: 0.0660 0.9120 0.2925  2 Zr 2.08-2.13, 1 Sc 2.11
O: 0.0888 0.7086 0.9356  2 Zr 2.07, 1 Sc 2.16
O: 0.8773 0.9616 0.2786  2 Sc 2.20, 2 Zr 2.21-2.25
O: 0.3296 0.1663 0.3417  3 Zr 2.11-2.30
O: 0.7822 0.3911 0.4347  2 Sc 2.13-2.19, 2 Zr 2.14-2.31
O: 0.9120 0.2920 0.0652  2 Zr 2.07-2.11, 1 Sc 2.11
O: 0.3418 0.3286 0.1661  3 Zr 2.10-2.27
O: 0.7842 0.2573 0.6774  1 Zr 2.05, 2 Sc 2.08-2.15
O: 0.7396 0.1979 0.4578  2 Zr 2.14-2.16, 2 Sc 2.16-2.23
O: 0.6165 0.6159 0.6167  3 Zr 2.12-2.24
O: 0.8974 0.0806 0.8970  2 Zr 2.13-2.15, 2 Sc 2.18-2.26
O: 0.5088 0.0136 0.6003  4 Zr 2.11-2.29
O: 0.8205 0.6893 0.0683  2 Zr 2.07-2.10, 1 Sc 2.13
O: 0.6687 0.8304 0.6577  2 Zr 2.07-2.16
O: 0.6413 0.7965 0.4537  3 Zr 2.09-2.17
O: 0.5180 0.9476 0.2055  3 Zr 2.16-2.32, 1 Sc 2.28
O: 0.6264 0.7206 0.0416  3 Zr 2.07-2.31
O: 0.9486 0.2054 0.5164  2 Zr 2.11-2.24, 2 Sc 2.18-2.27
O: 0.7915 0.4480 0.6438  1 Zr 2.07, 2 Sc 2.14-2.17
O: 0.2731 0.8722 0.7469  4 Zr 2.19-2.33
O: 0.3731 0.2797 0.9584  3 Zr 2.09-2.29
O: 0.6899 0.0663 0.8203  2 Zr 2.06-2.10, 1 Sc 2.14
O: 0.7955 0.4681 0.8464  3 Zr 2.11-2.22, 1 Sc 2.19
Zr: 0.6094 0.0396 0.1164  7 O 2.07-2.29
Zr: 0.4923 0.4722 0.3061  6 O 2.11-2.22
Zr: 0.0323 0.1130 0.6036  7 O 2.05-2.27
Zr: 0.5113 0.6177 0.0957  7 O 2.14-2.23
Zr: 0.6178 0.1699 0.9110  7 O 2.10-2.23
Zr: 0.3834 0.9054 0.4895  7 O 2.11-2.22
Zr: 0.7795 0.8203 0.1564  7 O 2.10-2.31
Zr: 0.6230 0.0955 0.5106  7 O 2.11-2.29
Zr: 0.3276 0.6589 0.2627  7 O 2.15-2.25
Zr: 0.5641 0.8598 0.3252  7 O 2.11-2.24
Zr: 0.5330 0.6957 0.5118  6 O 2.09-2.24
Zr: 0.4382 0.1416 0.6744  7 O 2.13-2.21
Zr: 0.3257 0.5630 0.8594  7 O 2.14-2.22
Zr: 0.7707 0.7617 0.7626  4 O 2.05-2.17
Zr: 0.6789 0.4389 0.1431  7 O 2.11-2.25
Zr: 0.7313 0.5833 0.9337  5 O 2.07-2.28
Zr: 0.5536 0.7701 0.9108  6 O 2.07-2.27
Zr: 0.6651 0.2638 0.3313  7 O 2.14-2.29
Zr: 0.5853 0.9351 0.7245  5 O 2.06-2.28
Zr: 0.3416 0.7355 0.6702  7 O 2.16-2.29
Zr: 0.2722 0.4188 0.0666  6 O 2.09-2.27
Zr: 0.1484 0.7737 0.8187  5 O 2.07-2.20
Zr: 0.6811 0.3439 0.7319  4 O 2.05-2.25
Zr: 0.7753 0.9100 0.5534  5 O 2.09-2.17
Zr: 0.2277 0.0902 0.4469  6 O 2.10-2.30
Zr: 0.7056 0.5104 0.5303  6 O 2.07-2.31
Zr: 0.3937 0.9595 0.8872  7 O 2.09-2.26
Zr: 0.8855 0.3940 0.9630  7 O 2.07-2.23
Zr: 0.1348 0.6732 0.4372  7 O 2.12-2.22
Zr: 0.0854 0.4478 0.2320  5 O 2.03-2.27
Zr: 0.1112 0.6081 0.0395  7 O 2.07-2.24
Zr: 0.2344 0.2370 0.2377  4 O 2.07-2.13
Zr: 0.4469 0.2311 0.0910  6 O 2.09-2.27
Zr: 0.1660 0.9110 0.6139  7 O 2.09-2.24
Zr: 0.5144 0.5303 0.6968  6 O 2.12-2.28
Zr: 0.0884 0.5113 0.6155  7 O 2.09-2.27
Zr: 0.1769 0.8458 0.2228  7 O 2.08-2.31
Zr: 0.1943 0.0109 0.0182  7 O 2.13-2.33
Zr: 0.0552 0.2765 0.4189  5 O 2.04-2.24
Zr: 0.3020 0.4882 0.4696  6 O 2.11-2.27
Zr: 0.8042 0.9853 0.9777  7 O 2.13-2.37
Zr: 0.2618 0.3286 0.6559  7 O 2.16-2.28
Zr: 0.0160 0.1967 0.0140  7 O 2.11-2.33
Zr: 0.4194 0.0641 0.2731  7 O 2.08-2.33
Zr: 0.2223 0.1784 0.8447  7 O 2.10-2.29
Zr: 0.4921 0.3841 0.9057  7 O 2.10-2.24
Zr: 0.4724 0.3040 0.4886  6 O 2.13-2.28
Zr: 0.0851 0.3869 0.8285  7 O 2.11-2.23
Zr: 0.7441 0.6720 0.3433  7 O 2.13-2.30
Zr: 0.0089 0.0199 0.2040  7 O 2.13-2.35
Sc: 0.3829 0.8284 0.0874  7 O 2.13-2.28
Sc: 0.9597 0.8839 0.3940  7 O 2.11-2.29
Sc: 0.8592 0.3249 0.5634  7 O 2.15-2.22
Sc: 0.9774 0.8003 0.9854  7 O 2.15-2.39
Sc: 0.8475 0.2257 0.1818  6 O 2.10-2.29
Sc: 0.8226 0.1526 0.7735  5 O 2.06-2.30
Sc: 0.9840 0.9780 0.8003  6 O 2.14-2.26
Sc: 0.9080 0.5546 0.7691  6 O 2.09-2.26
Sc: 0.9337 0.7235 0.5784  5 O 2.11-2.22
Sc: 0.9133 0.6174 0.1744  7 O 2.13-2.32
Sc: 0.8301 0.0874 0.3832  7 O 2.11-2.27
Sc: 0.9039 0.4882 0.3833  7 O 2.13-2.26

---

[2]
Computed, not measured: an optimized crystal structure of Zr5Sc2O13 at the GGA-PBE level of DFT.

Calculated values
Crystal system: trigonal

Cell: 8.0993 8.0993 8.0993 Å, 73.39 73.39 73.39°
With the nearest neighbours (Å) after each atom.
Fractional positions:
Zr: 0.5475 0.2860 0.1349  7 O 2.11-2.26
Zr: 0.1349 0.5475 0.2860  7 O 2.11-2.26
Zr: 0.4496 0.7105 0.8671  7 O 2.11-2.24
Zr: 0.7892 0.6024 0.0980  7 O 2.09-2.27
Zr: 0.0980 0.7892 0.6024  7 O 2.09-2.27
Zr: 0.7105 0.8671 0.4496  7 O 2.11-2.24
Zr: 0.6024 0.0980 0.7892  7 O 2.09-2.27
Zr: 0.2860 0.1349 0.5475  7 O 2.11-2.26
Zr: 0.8671 0.4496 0.7105  7 O 2.11-2.24
Zr: 0.0044 0.0044 0.0044  6 O 2.11-2.15
O: 0.0476 0.2579 0.8686  1 Sc 2.08, 2 Zr 2.11-2.20
O: 0.6832 0.3872 0.2822  2 Zr 2.15-2.26, 2 Sc 2.19
O: 0.9525 0.7462 0.1279  3 Zr 2.09-2.23
O: 0.6179 0.7166 0.3144  2 Zr 2.16-2.24, 2 Sc 2.20-2.21
O: 0.5077 0.0470 0.3337  3 Zr 2.11-2.22, 1 Sc 2.22
O: 0.2822 0.6832 0.3872  2 Zr 2.15-2.26, 2 Sc 2.19
O: 0.3144 0.6179 0.7166  2 Zr 2.16-2.24, 2 Sc 2.20-2.21
O: 0.0470 0.3337 0.5077  3 Zr 2.11-2.22, 1 Sc 2.22
O: 0.3872 0.2822 0.6832  2 Zr 2.15-2.26, 2 Sc 2.19
O: 0.7462 0.1279 0.9525  3 Zr 2.09-2.23
O: 0.9719 0.6039 0.8262  3 Zr 2.20-2.27, 1 Sc 2.29
O: 0.1733 0.0219 0.4022  2 Zr 2.18-2.21, 2 Sc 2.19-2.28
O: 0.2579 0.8686 0.0476  1 Sc 2.08, 2 Zr 2.11-2.20
O: 0.3337 0.5077 0.0470  3 Zr 2.11-2.22, 1 Sc 2.22
O: 0.1279 0.9525 0.7462  3 Zr 2.09-2.23
O: 0.4886 0.9530 0.6676  4 Zr 2.13-2.24
O: 0.7166 0.3144 0.6179  2 Zr 2.16-2.24, 2 Sc 2.20-2.21
O: 0.8686 0.0476 0.2579  1 Sc 2.08, 2 Zr 2.11-2.20
O: 0.4022 0.1733 0.0219  2 Zr 2.18-2.21, 2 Sc 2.19-2.28
O: 0.6676 0.4886 0.9530  4 Zr 2.13-2.24
O: 0.6435 0.6435 0.6435  3 Zr 2.12
O: 0.6039 0.8262 0.9719  3 Zr 2.20-2.27, 1 Sc 2.29
O: 0.9530 0.6676 0.4886  4 Zr 2.13-2.24
O: 0.8262 0.9719 0.6039  3 Zr 2.20-2.27, 1 Sc 2.29
O: 0.0219 0.4022 0.1733  2 Zr 2.18-2.21, 2 Sc 2.19-2.28
O: 0.3568 0.3568 0.3568  3 Zr 2.11
Sc: 0.3949 0.9045 0.2113  7 O 2.08-2.29
Sc: 0.9045 0.2113 0.3949  7 O 2.08-2.29
Sc: 0.5003 0.5003 0.5003  6 O 2.19-2.21
Sc: 0.2113 0.3949 0.9045  7 O 2.08-2.29

---

Number 1: calculated formation energy -3.792 eV per atom. Number 2: calculated formation energy -3.808 eV per atom.